# 1
Computed, not measured: crystalline SnO2 at its relaxed geometry at the PBE level of DFT.

Computed properties:
- E_tot (eV per cell) = -74.593

Lattice parameters (Å, degrees): 7.769 7.769 7.769 92.48 92.48 155.99
Sites, in units of the cell vectors:
Sn 0.149 0.331 0.480
Sn 0.331 0.851 0.182
Sn 0.669 0.149 0.818
Sn 0.851 0.669 0.520
O 0.043 0.661 0.704
O 0.294 0.655 0.949
O 0.339 0.043 0.382
O 0.345 0.294 0.639
O 0.655 0.706 0.361
O 0.661 0.957 0.618
O 0.706 0.345 0.051
O 0.957 0.339 0.296

---

# 2
Computed, not measured: crystalline Na2P2H4N2O5 at its relaxed geometry at the PBE level of DFT.

Computed properties:
- E_tot (eV per cell) = -359.398

Lattice parameters (Å, degrees): 11.505 11.505 15.710 132.55 132.55 26.47
Sites, in units of the cell vectors:
Na 0.063 0.746 0.897
Na 0.186 0.320 0.905
Na 0.254 0.937 0.603
Na 0.320 0.186 0.405
Na 0.680 0.814 0.595
Na 0.746 0.063 0.397
Na 0.814 0.680 0.095
Na 0.937 0.254 0.103
P 0.285 0.606 0.578
P 0.344 0.419 0.689
P 0.394 0.715 0.922
P 0.419 0.344 0.189
P 0.581 0.656 0.811
P 0.606 0.285 0.078
P 0.656 0.581 0.311
P 0.715 0.394 0.422
H 0.032 0.174 0.363
H 0.109 0.546 0.344
H 0.135 0.363 0.713
H 0.174 0.032 0.863
H 0.258 0.718 0.345
H 0.282 0.742 0.155
H 0.363 0.135 0.213
H 0.454 0.891 0.156
H 0.546 0.109 0.844
H 0.637 0.865 0.787
H 0.718 0.258 0.845
H 0.742 0.282 0.655
H 0.826 0.968 0.137
H 0.865 0.637 0.287
H 0.891 0.454 0.656
H 0.968 0.826 0.637
N 0.163 0.641 0.629
N 0.359 0.837 0.871
N 0.435 0.514 0.326
N 0.486 0.565 0.174
N 0.514 0.435 0.826
N 0.565 0.486 0.674
N 0.641 0.163 0.129
N 0.837 0.359 0.371
O 0.066 0.346 0.714
O 0.073 0.883 0.572
O 0.117 0.927 0.928
O 0.141 0.550 0.117
O 0.143 0.515 0.701
O 0.346 0.066 0.214
O 0.372 0.393 0.463
O 0.393 0.372 0.963
O 0.450 0.859 0.383
O 0.485 0.857 0.799
O 0.515 0.143 0.201
O 0.550 0.141 0.617
O 0.607 0.628 0.037
O 0.628 0.607 0.537
O 0.654 0.934 0.786
O 0.857 0.485 0.299
O 0.859 0.450 0.883
O 0.883 0.073 0.072
O 0.927 0.117 0.428
O 0.934 0.654 0.286

---

# 3
Computed, not measured: crystalline InBr3 at its relaxed geometry at the PBE level of DFT.

Computed properties:
- E_tot (eV per cell) = -22.048

Lattice parameters (Å, degrees): 6.934 6.934 7.144 99.04 99.04 120.14
Sites, in units of the cell vectors:
In 0.166 0.834 0.000
In 0.834 0.166 0.000
Br 0.068 0.425 0.769
Br 0.218 0.218 0.234
Br 0.425 0.068 0.769
Br 0.575 0.932 0.231
Br 0.782 0.782 0.766
Br 0.932 0.575 0.231

---

# 4
Computed, not measured: crystalline MgS2 at its relaxed geometry at the PBE level of DFT.

Computed properties:
- E_tot (eV per cell) = -24.696

Lattice parameters (Å, degrees): 3.976 3.976 9.134 90.00 90.00 120.02
Sites, in units of the cell vectors:
Mg 0.025 0.975 0.500
Mg 0.975 0.025 0.000
S 0.314 0.686 0.864
S 0.353 0.647 0.636
S 0.647 0.353 0.136
S 0.686 0.314 0.364

---

# 5
Computed, not measured: crystalline Ag9Bi2O6 at its relaxed geometry at the PBE level of DFT.

Computed properties:
- E_tot (eV per cell) = -263.179

Lattice parameters (Å, degrees): 8.979 8.979 25.151 90.00 90.00 104.34
Sites, in units of the cell vectors:
Ag 0.000 0.500 0.000
Ag 0.000 0.500 0.500
Ag 0.023 0.977 0.652
Ag 0.023 0.977 0.848
Ag 0.115 0.135 0.250
Ag 0.126 0.621 0.750
Ag 0.127 0.127 0.000
Ag 0.127 0.127 0.500
Ag 0.131 0.370 0.658
Ag 0.131 0.370 0.842
Ag 0.135 0.115 0.750
Ag 0.138 0.862 0.554
Ag 0.138 0.862 0.946
Ag 0.234 0.766 0.655
Ag 0.234 0.766 0.845
Ag 0.370 0.131 0.158
Ag 0.370 0.131 0.342
Ag 0.379 0.874 0.750
Ag 0.500 0.000 0.000
Ag 0.500 0.000 0.500
Ag 0.621 0.126 0.250
Ag 0.630 0.869 0.658
Ag 0.630 0.869 0.842
Ag 0.766 0.234 0.155
Ag 0.766 0.234 0.345
Ag 0.862 0.138 0.054
Ag 0.862 0.138 0.446
Ag 0.865 0.885 0.250
Ag 0.869 0.630 0.158
Ag 0.869 0.630 0.342
Ag 0.873 0.873 0.000
Ag 0.873 0.873 0.500
Ag 0.874 0.379 0.250
Ag 0.885 0.865 0.750
Ag 0.977 0.023 0.152
Ag 0.977 0.023 0.348
Bi 0.178 0.440 0.121
Bi 0.178 0.440 0.379
Bi 0.440 0.178 0.621
Bi 0.440 0.178 0.879
Bi 0.560 0.822 0.121
Bi 0.560 0.822 0.379
Bi 0.822 0.560 0.621
Bi 0.822 0.560 0.879
O 0.032 0.560 0.657
O 0.032 0.560 0.843
O 0.078 0.346 0.048
O 0.078 0.346 0.452
O 0.181 0.228 0.156
O 0.181 0.228 0.344
O 0.228 0.181 0.656
O 0.228 0.181 0.844
O 0.346 0.078 0.548
O 0.346 0.078 0.952
O 0.440 0.968 0.657
O 0.440 0.968 0.843
O 0.560 0.032 0.157
O 0.560 0.032 0.343
O 0.654 0.922 0.048
O 0.654 0.922 0.452
O 0.772 0.819 0.156
O 0.772 0.819 0.344
O 0.819 0.772 0.656
O 0.819 0.772 0.844
O 0.922 0.654 0.548
O 0.922 0.654 0.952
O 0.968 0.440 0.157
O 0.968 0.440 0.343

---

# 6
Computed, not measured: crystalline Si2H2O3 at its relaxed geometry at the PBE level of DFT.

Computed properties:
- E_tot (eV per cell) = -409.964

Lattice parameters (Å, degrees): 7.980 9.941 13.208 82.72 74.44 71.80
Sites, in units of the cell vectors:
Si 0.000 0.000 0.000
Si 0.008 0.310 0.794
Si 0.026 0.795 0.721
Si 0.029 0.665 0.083
Si 0.145 0.414 0.287
Si 0.231 0.464 0.439
Si 0.267 0.653 0.259
Si 0.407 0.834 0.683
Si 0.422 0.030 0.445
Si 0.453 0.928 0.918
Si 0.467 0.197 0.758
Si 0.497 0.416 0.909
Si 0.508 0.222 0.141
Si 0.608 0.714 0.302
Si 0.676 0.578 0.521
Si 0.793 0.230 0.171
Si 0.814 0.525 0.963
Si 0.833 0.974 0.349
Si 0.922 0.509 0.666
Si 0.988 0.183 0.450
H 0.054 0.729 0.422
H 0.199 0.962 0.583
H 0.201 0.562 0.720
H 0.212 0.107 0.834
H 0.222 0.889 0.208
H 0.223 0.375 0.880
H 0.288 0.392 0.076
H 0.302 0.871 0.377
H 0.361 0.703 0.557
H 0.367 0.066 0.128
H 0.367 0.659 0.907
H 0.499 0.515 0.414
H 0.677 0.485 0.147
H 0.749 0.336 0.554
H 0.767 0.232 0.856
H 0.798 0.762 0.461
H 0.849 0.849 0.795
H 0.920 0.284 0.282
H 0.952 0.861 0.555
H 0.977 0.433 0.150
O 0.036 0.860 0.599
O 0.070 0.472 0.163
O 0.073 0.615 0.723
O 0.091 0.461 0.558
O 0.147 0.826 0.239
O 0.184 0.658 0.402
O 0.197 0.824 0.751
O 0.219 0.125 0.430
O 0.221 0.988 0.938
O 0.223 0.186 0.778
O 0.325 0.961 0.581
O 0.337 0.574 0.944
O 0.339 0.292 0.237
O 0.359 0.355 0.848
O 0.415 0.339 0.040
O 0.428 0.867 0.375
O 0.451 0.683 0.599
O 0.481 0.665 0.237
O 0.492 0.065 0.121
O 0.510 0.068 0.854
O 0.578 0.580 0.411
O 0.649 0.425 0.578
O 0.778 0.416 0.101
O 0.868 0.834 0.448
O 0.900 0.186 0.833
O 0.933 0.616 0.006
O 0.950 0.058 0.392
O 0.960 0.132 0.078
O 0.991 0.311 0.328
O 0.999 0.392 0.901

---

# 7
Computed, not measured: crystalline MgZn5N4 at its relaxed geometry at the PBE level of DFT.

Computed properties:
- E_tot (eV per cell) = -82.636

Lattice parameters (Å, degrees): 6.652 7.372 4.965 90.00 90.00 90.00
Sites, in units of the cell vectors:
Mg 0.250 0.250 0.225
Mg 0.750 0.750 0.775
Zn 0.000 0.067 0.752
Zn 0.000 0.433 0.752
Zn 0.000 0.567 0.248
Zn 0.000 0.933 0.248
Zn 0.250 0.750 0.763
Zn 0.500 0.067 0.752
Zn 0.500 0.433 0.752
Zn 0.500 0.567 0.248
Zn 0.500 0.933 0.248
Zn 0.750 0.250 0.237
N 0.001 0.250 0.462
N 0.250 0.001 0.001
N 0.250 0.499 0.001
N 0.499 0.250 0.462
N 0.501 0.750 0.538
N 0.750 0.501 0.999
N 0.750 0.999 0.999
N 0.999 0.750 0.538

---

# 8
Computed, not measured: crystalline UB2Os3 at its relaxed geometry at the PBE level of DFT.

Computed properties:
- E_tot (eV per cell) = -60.284

Lattice parameters (Å, degrees): 5.572 5.572 2.960 90.00 90.00 120.00
Sites, in units of the cell vectors:
U 0.000 0.000 0.000
B 0.333 0.667 0.000
B 0.667 0.333 0.000
Os 0.000 0.500 0.500
Os 0.500 0.000 0.500
Os 0.500 0.500 0.500